Material: Mn5Cr3O16
Method: DFT, GGA+U
State: optimized geometry

Unit cell a=5.8189 b=5.8189 c=8.8854 alpha=90.42 beta=90.42 gamma=59.88
With the nearest neighbours (Å) after each atom.
Fractional positions:
Mn: 0.0000 0.0000 0.0000  6 O 1.92-1.98
Mn: 0.1679 0.6707 0.2706  6 O 1.92-1.98
Mn: 0.5043 0.5043 0.7678  6 O 1.90-1.98
Mn: 0.6654 0.6654 0.4985  6 O 1.92-1.99
Mn: 0.6707 0.1679 0.2706  6 O 1.92-1.98
Cr: 0.0047 0.5014 0.7781  6 O 1.86-2.01
Cr: 0.1704 0.1704 0.2809  6 O 1.86-2.01
Cr: 0.5014 0.0047 0.7781  6 O 1.86-2.01
O: 0.1609 0.1609 0.8732  2 Cr 1.92, 1 Mn 1.98
O: 0.1615 0.6709 0.8770  1 Cr 1.86, 2 Mn 1.98
O: 0.2880 0.8568 0.1425  2 Mn 1.92-1.94, 1 Cr 2.01
O: 0.3367 0.3367 0.1653  2 Mn 1.92, 1 Cr 1.97
O: 0.3370 0.3370 0.6654  1 Mn 1.91, 2 Cr 1.95
O: 0.3778 0.8124 0.6405  2 Mn 1.92-1.93, 1 Cr 2.01
O: 0.4993 0.4993 0.3815  3 Mn 1.93-1.96
O: 0.4995 0.9955 0.3766  1 Cr 1.86, 2 Mn 1.98-1.99
O: 0.6635 0.6635 0.8846  1 Mn 1.90, 2 Cr 1.97
O: 0.6709 0.1615 0.8770  1 Cr 1.86, 2 Mn 1.98
O: 0.8070 0.8070 0.6439  1 Mn 1.92, 2 Cr 1.97
O: 0.8124 0.3778 0.6405  2 Mn 1.92-1.93, 1 Cr 2.01
O: 0.8549 0.8549 0.1404  3 Mn 1.93-1.96
O: 0.8568 0.2880 0.1425  2 Mn 1.92-1.94, 1 Cr 2.01
O: 0.9955 0.4995 0.3766  1 Cr 1.86, 2 Mn 1.98-1.99
O: 0.9969 0.9969 0.3825  2 Mn 1.92, 1 Cr 1.98

Calculated values
E = -7.2013 eV/atom
ΔE to the lowest computed polymorph = 0.00 eV per formula unit
DFT formation energy = -1.843 eV per atom
Crystal system = monoclinic